Record 1
# PBE+U SrCa7Mn6Cr2O24, optimized geometry
# - Energy with MP2020 corrections: -7.73 eV per atom
# - E_form: -2.5072 eV per atom
# - Excess energy over the best structure of this formula in the dataset: 0 meV/atom
data_SrCa7Mn6Cr2O24
_symmetry_space_group_name_H-M 'P 1'
_symmetry_Int_Tables_number 1
_symmetry_space_group_name_Hall 'P 1'
_cell_length_a 10.705
_cell_length_b 10.863
_cell_length_c 15.179
_cell_angle_alpha 90.00
_cell_angle_beta 90.01
_cell_angle_gamma 90.03
loop_
_atom_site_label
_atom_site_fract_x
_atom_site_fract_y
_atom_site_fract_z
_atom_site_occupancy
Sr1 0.000 0.000 0.000 1
Sr2 0.006 0.034 0.749 1
Sr3 0.251 0.781 0.749 1
Sr4 0.756 0.251 0.999 1
Ca1 0.007 0.040 0.249 1
Ca2 0.007 0.536 0.749 1
Ca3 0.007 0.539 0.249 1
Ca4 0.248 0.290 0.249 1
Ca5 0.248 0.291 0.749 1
Ca6 0.249 0.790 0.249 1
Ca7 0.257 0.744 0.499 1
Ca8 0.258 0.245 0.499 1
Ca9 0.258 0.246 0.999 1
Ca10 0.258 0.743 0.000 1
Ca11 0.498 0.493 0.500 1
Ca12 0.498 0.494 0.999 1
Ca13 0.498 0.995 0.000 1
Ca14 0.499 0.995 0.498 1
Ca15 0.508 0.040 0.249 1
Ca16 0.508 0.537 0.749 1
Ca17 0.508 0.540 0.249 1
Ca18 0.509 0.040 0.749 1
Ca19 0.748 0.291 0.749 1
Ca20 0.748 0.786 0.749 1
Ca21 0.749 0.289 0.249 1
Ca22 0.749 0.789 0.249 1
Ca23 0.757 0.744 0.000 1
Ca24 0.758 0.245 0.499 1
Ca25 0.758 0.744 0.498 1
Ca26 0.999 0.493 0.499 1
Ca27 0.999 0.495 0.999 1
Ca28 0.999 0.995 0.498 1
Mn1 0.003 0.267 0.374 1
Mn2 0.003 0.766 0.125 1
Mn3 0.003 0.767 0.374 1
Mn4 0.004 0.268 0.623 1
Mn5 0.004 0.269 0.126 1
Mn6 0.004 0.269 0.873 1
Mn7 0.253 0.017 0.374 1
Mn8 0.253 0.515 0.623 1
Mn9 0.253 0.515 0.875 1
Mn10 0.253 0.517 0.374 1
Mn11 0.254 0.517 0.125 1
Mn12 0.255 0.017 0.125 1
Mn13 0.501 0.267 0.125 1
Mn14 0.502 0.267 0.873 1
Mn15 0.503 0.267 0.374 1
Mn16 0.503 0.766 0.125 1
Mn17 0.503 0.767 0.374 1
Mn18 0.504 0.267 0.624 1
Mn19 0.751 0.016 0.126 1
Mn20 0.753 0.017 0.374 1
Mn21 0.753 0.516 0.624 1
Mn22 0.753 0.517 0.374 1
Mn23 0.753 0.518 0.873 1
Mn24 0.754 0.518 0.125 1
Cr1 0.001 0.763 0.876 1
Cr2 0.001 0.764 0.622 1
Cr3 0.254 0.018 0.622 1
Cr4 0.255 0.017 0.875 1
Cr5 0.503 0.766 0.875 1
Cr6 0.504 0.766 0.623 1
Cr7 0.749 0.016 0.873 1
Cr8 0.750 0.017 0.623 1
O1 0.040 0.276 0.000 1
O2 0.041 0.771 0.000 1
O3 0.041 0.776 0.498 1
O4 0.043 0.277 0.499 1
O5 0.106 0.413 0.354 1
O6 0.106 0.413 0.644 1
O7 0.106 0.913 0.354 1
O8 0.107 0.413 0.145 1
O9 0.107 0.413 0.854 1
O10 0.108 0.911 0.146 1
O11 0.113 0.909 0.638 1
O12 0.115 0.908 0.860 1
O13 0.144 0.656 0.640 1
O14 0.144 0.656 0.857 1
O15 0.150 0.162 0.144 1
O16 0.150 0.163 0.353 1
O17 0.150 0.166 0.857 1
O18 0.150 0.662 0.145 1
O19 0.150 0.663 0.354 1
O20 0.151 0.165 0.642 1
O21 0.214 0.526 0.000 1
O22 0.214 0.526 0.498 1
O23 0.215 0.028 0.498 1
O24 0.224 0.028 0.999 1
O25 0.289 0.012 0.749 1
O26 0.292 0.508 0.749 1
O27 0.293 0.007 0.249 1
O28 0.293 0.507 0.249 1
O29 0.355 0.370 0.894 1
O30 0.355 0.371 0.105 1
O31 0.356 0.370 0.603 1
O32 0.356 0.371 0.394 1
O33 0.356 0.871 0.395 1
O34 0.357 0.870 0.103 1
O35 0.361 0.872 0.604 1
O36 0.362 0.870 0.894 1
O37 0.399 0.620 0.605 1
O38 0.399 0.620 0.893 1
O39 0.400 0.121 0.105 1
O40 0.400 0.121 0.395 1
O41 0.400 0.121 0.603 1
O42 0.400 0.621 0.103 1
O43 0.400 0.621 0.395 1
O44 0.401 0.120 0.893 1
O45 0.463 0.256 0.749 1
O46 0.463 0.257 0.250 1
O47 0.464 0.756 0.249 1
O48 0.475 0.757 0.749 1
O49 0.533 0.277 0.999 1
O50 0.542 0.777 0.499 1
O51 0.543 0.277 0.499 1
O52 0.543 0.777 0.999 1
O53 0.605 0.913 0.145 1
O54 0.606 0.413 0.354 1
O55 0.606 0.413 0.644 1
O56 0.606 0.913 0.354 1
O57 0.607 0.412 0.144 1
O58 0.607 0.412 0.854 1
O59 0.608 0.913 0.643 1
O60 0.608 0.913 0.855 1
O61 0.646 0.163 0.853 1
O62 0.647 0.161 0.146 1
O63 0.649 0.165 0.644 1
O64 0.650 0.163 0.354 1
O65 0.650 0.662 0.644 1
O66 0.650 0.662 0.855 1
O67 0.650 0.663 0.145 1
O68 0.650 0.663 0.354 1
O69 0.713 0.527 0.499 1
O70 0.714 0.027 0.499 1
O71 0.714 0.526 0.999 1
O72 0.715 0.021 0.999 1
O73 0.781 0.006 0.748 1
O74 0.792 0.006 0.250 1
O75 0.792 0.507 0.250 1
O76 0.792 0.508 0.748 1
O77 0.855 0.869 0.106 1
O78 0.856 0.371 0.395 1
O79 0.856 0.371 0.603 1
O80 0.856 0.871 0.395 1
O81 0.858 0.869 0.891 1
O82 0.859 0.871 0.605 1
O83 0.861 0.376 0.108 1
O84 0.861 0.376 0.891 1
O85 0.894 0.125 0.889 1
O86 0.896 0.124 0.111 1
O87 0.898 0.122 0.603 1
O88 0.898 0.620 0.894 1
O89 0.899 0.620 0.604 1
O90 0.900 0.121 0.395 1
O91 0.900 0.621 0.104 1
O92 0.900 0.621 0.395 1
O93 0.964 0.264 0.748 1
O94 0.964 0.756 0.249 1
O95 0.965 0.257 0.250 1
O96 0.968 0.758 0.749 1

---

Record 2
# PBE+U Na3Li3Fe2P2C2O14, optimized geometry
# - Energy with MP2020 corrections: -7.11 eV per atom
# - E_form: -2.2970 eV per atom
# - Excess energy over the best structure of this formula in the dataset: 10 meV/atom
data_Na3Li3Fe2P2C2O14
_symmetry_space_group_name_H-M 'P 1'
_symmetry_Int_Tables_number 1
_symmetry_space_group_name_Hall 'P 1'
_cell_length_a 6.713
_cell_length_b 8.722
_cell_length_c 10.171
_cell_angle_alpha 92.40
_cell_angle_beta 90.58
_cell_angle_gamma 90.08
loop_
_atom_site_label
_atom_site_fract_x
_atom_site_fract_y
_atom_site_fract_z
_atom_site_occupancy
Na1 0.000 0.000 0.000 1
Na2 0.001 0.484 0.756 1
Na3 0.496 0.004 0.499 1
Na4 0.499 0.002 0.005 1
Na5 0.756 0.831 0.249 1
Na6 0.999 0.490 0.252 1
Li1 0.259 0.645 0.507 1
Li2 0.266 0.642 0.004 1
Li3 0.472 0.465 0.245 1
Li4 0.482 0.468 0.753 1
Li5 0.739 0.837 0.747 1
Li6 0.963 0.034 0.517 1
Fe1 0.243 0.103 0.246 1
Fe2 0.248 0.092 0.737 1
Fe3 0.741 0.392 0.017 1
Fe4 0.741 0.406 0.519 1
P1 0.245 0.339 0.486 1
P2 0.252 0.336 0.986 1
P3 0.742 0.154 0.771 1
P4 0.745 0.164 0.277 1
C1 0.259 0.788 0.263 1
C2 0.261 0.785 0.765 1
C3 0.744 0.683 0.976 1
C4 0.762 0.706 0.498 1
O1 0.061 0.432 0.012 1
O2 0.061 0.441 0.517 1
O3 0.227 0.177 0.542 1
O4 0.244 0.903 0.349 1
O5 0.245 0.898 0.854 1
O6 0.248 0.179 0.052 1
O7 0.252 0.814 0.139 1
O8 0.260 0.817 0.641 1
O9 0.270 0.320 0.334 1
O10 0.276 0.646 0.804 1
O11 0.278 0.308 0.834 1
O12 0.279 0.650 0.306 1
O13 0.425 0.433 0.545 1
O14 0.425 0.439 0.042 1
O15 0.562 0.048 0.733 1
O16 0.562 0.061 0.242 1
O17 0.725 0.577 0.882 1
O18 0.726 0.324 0.217 1
O19 0.728 0.313 0.709 1
O20 0.744 0.606 0.398 1
O21 0.748 0.826 0.948 1
O22 0.752 0.178 0.924 1
O23 0.755 0.657 0.616 1
O24 0.758 0.639 0.096 1
O25 0.765 0.187 0.430 1
O26 0.782 0.851 0.477 1
O27 0.929 0.062 0.722 1
O28 0.930 0.074 0.224 1

---

Record 3
# PBE+U FeP2Pb2O10, optimized geometry
# - Energy with MP2020 corrections: -6.99 eV per atom
# - E_form: -1.9122 eV per atom
data_FeP2Pb2O10
_symmetry_space_group_name_H-M 'P 1 21/c 1'
_symmetry_Int_Tables_number 14
_symmetry_space_group_name_Hall '-P 2ybc'
_cell_length_a 4.736
_cell_length_b 7.641
_cell_length_c 11.059
_cell_angle_alpha 90.00
_cell_angle_beta 90.43
_cell_angle_gamma 90.00
loop_
_atom_site_label
_atom_site_fract_x
_atom_site_fract_y
_atom_site_fract_z
_atom_site_occupancy
Fe1 0.000 0.000 0.000 1
P1 0.499 0.247 0.396 1
Pb1 0.012 0.103 0.682 1
O1 0.149 0.605 0.364 1
O2 0.264 0.612 0.619 1
O3 0.282 0.208 0.995 1
O4 0.347 0.229 0.272 1
O5 0.348 0.572 0.073 1

---

Size of the total moment across the listed records, respectively: 22.000; 8.000; 2.117 μB/f.u..
Total DFT energy (no corrections) across the listed records, respectively: -1114.20; -341.56; -191.52 eV for the cell shown.